1.
DFT (PBE with a Hubbard U) results for a geometry-optimized FeOF structure.

## Properties
* ΔH_f (0 K): -2.029 eV per atom
* total moment: 89.2 μB per cell
* total energy after the MP2020 corrections: -7.139 eV per atom

```
FeOF
1.0
-0.011 2.576 1.711
-13.368 2.594 -3.992
-4.795 -7.427 11.147
Fe O F
18 18 18
Direct
0.000 0.004 0.984
0.000 0.988 0.668
0.000 0.991 0.347
0.500 0.847 0.835
0.500 0.840 0.510
0.500 0.849 0.176
0.000 0.659 0.006
0.000 0.665 0.659
0.000 0.660 0.331
0.500 0.499 0.515
0.500 0.500 0.813
0.500 0.511 0.170
0.000 0.321 0.000
0.000 0.342 0.664
0.000 0.320 0.337
0.500 0.171 0.844
0.500 0.162 0.486
0.500 0.178 0.170
0.500 0.938 0.733
0.500 0.926 0.398
0.000 0.894 0.904
0.000 0.901 0.565
0.000 0.902 0.231
0.500 0.733 0.601
0.500 0.606 0.729
0.500 0.602 0.065
0.000 0.563 0.562
0.000 0.566 0.233
0.000 0.431 0.769
0.500 0.392 0.599
0.500 0.273 0.403
0.500 0.267 0.064
0.000 0.236 0.893
0.000 0.232 0.232
0.000 0.100 0.434
0.500 0.066 0.933
0.500 0.936 0.064
0.000 0.770 0.774
0.000 0.761 0.429
0.000 0.771 0.101
0.500 0.728 0.936
0.500 0.732 0.265
0.500 0.598 0.399
0.000 0.567 0.898
0.000 0.438 0.428
0.000 0.436 0.102
0.500 0.405 0.939
0.500 0.399 0.266
0.500 0.263 0.728
0.000 0.227 0.569
0.000 0.105 0.765
0.000 0.097 0.103
0.500 0.069 0.604
0.500 0.064 0.266
```

***

2.
DFT (PBE with a Hubbard U) results for a geometry-optimized Li9Mn2Co5O16 structure.

## Properties
* ΔH_f (0 K): -1.840 eV per atom
* total moment: 6.0 μB per cell
* total energy after the MP2020 corrections: -6.534 eV per atom

```
Li9Mn2Co5O16
1.0
-3.272 1.382 5.510
-2.413 -4.256 4.363
4.470 -1.174 9.112
Li Mn Co O
9 2 5 16
Direct
0.492 0.999 0.258
0.001 0.508 0.742
0.250 0.250 0.495
0.751 0.751 0.999
0.249 0.249 0.001
0.750 0.750 0.505
0.999 0.492 0.258
0.508 0.001 0.742
0.000 0.000 0.500
0.000 0.000 0.000
0.500 0.500 0.500
0.753 0.244 0.258
0.247 0.756 0.742
0.756 0.247 0.742
0.244 0.753 0.258
0.500 0.500 0.000
0.645 0.130 0.997
0.151 0.620 0.492
0.389 0.389 0.243
0.883 0.883 0.757
0.385 0.385 0.733
0.887 0.887 0.233
0.130 0.645 0.997
0.620 0.151 0.492
0.380 0.849 0.508
0.870 0.355 0.003
0.113 0.113 0.767
0.615 0.615 0.267
0.117 0.117 0.243
0.611 0.611 0.757
0.849 0.380 0.508
0.355 0.870 0.003
```

***

3.
DFT (PBE with a Hubbard U) results for a geometry-optimized FeP3O9 structure.

## Properties
* ΔH_f (0 K): -2.406 eV per atom
* total moment: 10.0 μB per cell
* total energy after the MP2020 corrections: -7.733 eV per atom

```
FeP3O9
1.0
-4.941 -4.850 0.515
-0.739 -2.382 -6.775
4.622 -5.645 0.638
Fe P O
2 6 18
Direct
0.572 0.151 0.183
0.428 0.849 0.817
0.245 0.558 0.148
0.862 0.769 0.301
0.446 0.777 0.366
0.554 0.223 0.634
0.138 0.231 0.699
0.755 0.442 0.852
0.710 0.321 0.024
0.319 0.345 0.147
0.799 0.936 0.154
0.405 0.953 0.230
0.012 0.598 0.194
0.332 0.622 0.322
0.672 0.665 0.337
0.606 0.193 0.433
0.062 0.200 0.528
0.938 0.800 0.472
0.394 0.807 0.567
0.328 0.335 0.663
0.668 0.378 0.678
0.988 0.402 0.806
0.595 0.047 0.770
0.201 0.064 0.846
0.681 0.655 0.853
0.290 0.679 0.976
```

***

4.
DFT (PBE with a Hubbard U) results for a geometry-optimized Li3MnF7 structure.

## Properties
* ΔH_f (0 K): -2.858 eV per atom
* total moment: 6.0 μB per cell
* total energy after the MP2020 corrections: -5.429 eV per atom

```
Li3MnF7
1.0
5.281 0.000 0.000
0.745 6.997 0.000
1.965 2.376 7.404
Li Mn F
6 2 14
Direct
0.863 0.992 0.720
0.800 0.545 0.681
0.291 0.715 0.569
0.202 0.435 0.322
0.132 0.006 0.250
0.658 0.239 0.104
0.283 0.284 0.793
0.709 0.713 0.201
0.671 0.834 0.973
0.162 0.054 0.793
0.941 0.356 0.896
0.416 0.527 0.781
0.950 0.784 0.632
0.612 0.217 0.686
0.197 0.429 0.574
0.741 0.597 0.437
0.364 0.781 0.304
0.145 0.177 0.367
0.585 0.474 0.202
0.044 0.635 0.131
0.805 0.963 0.206
0.357 0.175 0.019
```

***

5.
DFT (PBE with a Hubbard U) results for a geometry-optimized Li2CoSnO4 structure.

## Properties
* ΔH_f (0 K): -1.967 eV per atom
* total moment: 6.0 μB per cell
* total energy after the MP2020 corrections: -6.308 eV per atom

```
Li2CoSnO4
1.0
6.166 -0.190 0.038
0.186 6.165 0.038
-3.151 -2.964 4.304
Li Co Sn O
4 2 2 8
Direct
0.000 0.500 0.500
0.500 0.500 0.500
0.500 0.000 0.000
0.500 0.500 0.000
0.000 0.000 0.500
0.000 0.000 0.000
0.000 0.500 0.000
0.500 0.000 0.500
0.251 0.747 0.009
0.252 0.225 0.489
0.252 0.749 0.491
0.774 0.748 0.011
0.226 0.252 0.990
0.748 0.251 0.509
0.748 0.774 0.511
0.749 0.252 0.991
```

***

6.
DFT (PBE with a Hubbard U) results for a geometry-optimized Li4Ti3V3Ni2O16 structure.

## Properties
* ΔH_f (0 K): -2.595 eV per atom
* total moment: 7.0 μB per cell
* total energy after the MP2020 corrections: -7.927 eV per atom

```
Li4Ti3V3Ni2O16
1.0
4.627 -3.328 -1.523
5.438 2.273 0.258
0.926 -3.047 9.158
Li Ti V Ni O
4 3 3 2 16
Direct
0.337 0.337 0.109
0.003 0.003 0.001
0.007 0.007 0.501
0.669 0.669 0.608
0.659 0.168 0.784
0.168 0.659 0.784
0.829 0.829 0.277
0.169 0.169 0.790
0.334 0.833 0.289
0.833 0.334 0.289
0.335 0.335 0.511
0.667 0.667 0.011
0.684 0.172 0.393
0.485 0.485 0.669
0.337 0.337 0.897
0.002 0.002 0.685
0.003 0.003 0.185
0.172 0.684 0.393
0.486 0.040 0.668
0.040 0.486 0.668
0.842 0.842 0.895
0.165 0.165 0.391
0.966 0.521 0.171
0.521 0.966 0.171
0.672 0.672 0.396
0.839 0.326 0.892
0.521 0.521 0.169
0.326 0.839 0.892
```